1.
Below is crystalline NdAl10Os2 at its relaxed geometry, with properties calculated at the GGA-PBE level.

The formation energy from the elements is -462 meV/atom. The space group is Cmcm.

```
26
Lattice="-4.461 -4.345 2.950 -0.456 -2.584 -6.371 6.904 -5.821 1.867" Properties=species:S:1:pos:R:3 pbc="T T T"
Nd 1.221 -8.489 3.179
Nd 0.767 -4.261 -4.732
Al 0.847 -6.879 0.454
Al 1.140 -5.871 -2.008
Al -1.626 -3.538 -2.756
Al 3.614 -9.212 1.202
Al 2.338 -4.480 0.158
Al -0.351 -8.270 -1.712
Al -3.803 -5.359 -2.646
Al -1.114 -1.570 -0.775
Al -3.113 -4.658 1.648
Al 5.101 -8.092 -3.202
Al 3.061 -6.372 -3.753
Al -1.073 -6.378 2.200
Al 1.087 -9.607 0.188
Al 0.900 -3.143 -1.742
Al 3.271 -6.529 1.708
Al -1.284 -6.221 -3.262
Al 3.980 -6.568 -1.032
Al -1.992 -6.182 -0.522
Al 2.518 -8.628 -2.049
Al -0.530 -4.122 0.496
Os 3.224 -4.203 -2.252
Os -0.228 -1.292 -3.185
Os -2.230 -2.172 1.475
Os 1.222 -5.083 2.409
```

=====

2.
Below is crystalline Te4Mo3WSe2S2 at its relaxed geometry, with properties calculated at the GGA-PBE level.

The formation energy from the elements is -535 meV/atom. As for the offset from the most stable computed form: 0.02 eV/f.u. The space group is P3m1.

```
12
Lattice="-2.207 -0.910 -2.416 1.096 -2.295 2.251 -34.718 10.610 27.721" Properties=species:S:1:pos:R:3 pbc="T T T"
Te -24.436 5.632 20.202
Te -15.816 3.123 10.885
Te -18.665 3.994 13.160
Te -21.587 4.762 17.927
Mo -3.263 -0.838 3.297
Mo -16.138 3.097 13.577
Mo -24.113 5.659 17.510
W -10.885 1.617 6.948
Se -3.112 -0.759 0.741
Se -5.619 0.007 2.743
S -10.928 1.504 9.417
S -8.639 0.805 7.589
```